# 1
VASP calculation (GGA-PBE) on crystalline Rb2CrBr2Cl2 at its relaxed geometry.

Unit cell a=9.289 b=9.289 c=7.247 alpha=90.00 beta=90.00 gamma=134.00
Element x y z (fractional)
Cr (0.500, 0.500, 0.500)
Cl (0.239, 0.239, 0.760)
Cr (0.000, 0.000, 0.000)
Rb (0.135, 0.865, 0.500)
Cl (0.261, 0.261, 0.260)
Br (0.153, 0.847, 0.000)
Br (0.847, 0.153, 0.000)
Rb (0.365, 0.635, 0.000)
Cl (0.761, 0.761, 0.240)
Cl (0.739, 0.739, 0.740)
Rb (0.635, 0.365, 0.000)
Rb (0.865, 0.135, 0.500)
Br (0.347, 0.653, 0.500)
Br (0.653, 0.347, 0.500)

Properties
The crystal system is orthorhombic. The relative energy among the computed polymorphs comes out at 0.00 eV/f.u. For the total energy, the calculation gives -57.4 eV per cell. As for the energy of formation from the pure elements: -1.619 eV per atom.

=====

# 2
VASP calculation (GGA-PBE) on crystalline Rb2CrBr2Cl2 at its relaxed geometry.

Unit cell a=9.304 b=9.304 c=9.304 alpha=148.30 beta=148.30 gamma=45.44
Element x y z (fractional)
Br (0.153, 0.153, 0.000)
Cl (0.500, 0.000, 0.500)
Cl (0.000, 0.500, 0.500)
Rb (0.636, 0.636, 0.000)
Rb (0.364, 0.364, 0.000)
Cr (0.000, 0.000, 0.000)
Br (0.847, 0.847, 0.000)

Properties
The crystal system is tetragonal. The relative energy among the computed polymorphs comes out at 0.07 eV/f.u. For the total energy, the calculation gives -28.6 eV per cell. As for the energy of formation from the pure elements: -1.608 eV per atom.

=====

# 3
VASP calculation (GGA-PBE) on crystalline Cs2BrCl at its relaxed geometry.

Unit cell a=6.101 b=6.101 c=4.320 alpha=90.00 beta=90.00 gamma=90.00
Element x y z (fractional)
Cs (0.000, 0.500, 0.000)
Cs (0.500, 0.000, 0.000)
Cl (0.500, 0.500, 0.500)
Br (0.000, 0.000, 0.500)

Properties
The crystal system is tetragonal. For the total energy, the calculation gives -12.5 eV per cell. As for the energy of formation from the pure elements: -1.970 eV per atom.

=====

# 4
VASP calculation (GGA-PBE) on crystalline Cs2BrCl6F at its relaxed geometry.

Unit cell a=7.391 b=7.391 c=7.391 alpha=60.00 beta=60.00 gamma=60.00
Element x y z (fractional)
Cs (0.750, 0.750, 0.750)
Cl (0.237, 0.763, 0.237)
Br (0.000, 0.000, 0.000)
F (0.500, 0.500, 0.500)
Cl (0.763, 0.237, 0.237)
Cl (0.763, 0.237, 0.763)
Cl (0.237, 0.237, 0.763)
Cl (0.237, 0.763, 0.763)
Cl (0.763, 0.763, 0.237)
Cs (0.250, 0.250, 0.250)

Properties
The crystal system is cubic. For the total energy, the calculation gives -24.3 eV per cell. As for the energy of formation from the pure elements: -0.835 eV per atom.

=====

# 5
VASP calculation (GGA-PBE) on crystalline CsHgBrCl2 at its relaxed geometry.

Unit cell a=5.443 b=5.443 c=5.613 alpha=90.00 beta=90.00 gamma=90.00
Element x y z (fractional)
Br (0.500, 0.500, 0.000)
Hg (0.500, 0.500, 0.500)
Cl (0.500, 0.000, 0.500)
Cl (0.000, 0.500, 0.500)
Cs (0.000, 0.000, 0.000)

Properties
The crystal system is tetragonal. For the total energy, the calculation gives -12.0 eV per cell. As for the energy of formation from the pure elements: -1.341 eV per atom.

=====

# 6
VASP calculation (GGA-PBE) on crystalline CsMo3Br3Cl4 at its relaxed geometry.

Unit cell a=10.313 b=10.313 c=15.810 alpha=90.00 beta=90.00 gamma=120.00
Element x y z (fractional)
Mo (0.659, 0.477, 0.182)
Br (0.329, 0.304, 0.906)
Cs (0.000, 0.000, 0.018)
Br (0.975, 0.671, 0.906)
Br (0.025, 0.696, 0.406)
Cl (0.657, 0.607, 0.315)
Cl (0.620, 0.938, 0.684)
Br (0.696, 0.025, 0.906)
Cl (0.938, 0.620, 0.184)
Cs (0.000, 0.000, 0.518)
Br (0.040, 0.360, 0.093)
Cs (0.667, 0.333, 0.744)
Mo (0.516, 0.328, 0.317)
Br (0.640, 0.679, 0.093)
Cl (0.393, 0.050, 0.315)
Cl (0.050, 0.393, 0.815)
Mo (0.189, 0.672, 0.817)
Mo (0.672, 0.189, 0.317)
Mo (0.182, 0.523, 0.682)
Br (0.960, 0.321, 0.593)
Cl (0.607, 0.657, 0.815)
Mo (0.341, 0.818, 0.682)
Mo (0.484, 0.811, 0.817)
Br (0.304, 0.329, 0.406)
Cs (0.333, 0.667, 0.244)
Mo (0.811, 0.484, 0.317)
Cl (0.333, 0.667, 0.557)
Br (0.679, 0.640, 0.593)
Mo (0.818, 0.341, 0.182)
Cl (0.380, 0.318, 0.184)
Br (0.671, 0.975, 0.406)
Mo (0.477, 0.659, 0.682)
Br (0.321, 0.960, 0.093)
Mo (0.523, 0.182, 0.182)
Cl (0.318, 0.380, 0.684)
Cl (0.667, 0.333, 0.442)
Cl (0.333, 0.667, 0.942)
Mo (0.328, 0.516, 0.817)
Cl (0.667, 0.333, 0.057)
Cl (0.950, 0.343, 0.315)
Cl (0.343, 0.950, 0.815)
Cl (0.062, 0.682, 0.684)
Cl (0.682, 0.062, 0.184)
Br (0.360, 0.040, 0.593)

Properties
The crystal system is trigonal. For the total energy, the calculation gives -228.6 eV per cell. As for the energy of formation from the pure elements: -1.260 eV per atom.

=====

# 7
VASP calculation (GGA-PBE) on crystalline Cs2SBrCl6 at its relaxed geometry.

Unit cell a=7.640 b=7.640 c=7.640 alpha=60.00 beta=60.00 gamma=60.00
Element x y z (fractional)
Cl (0.216, 0.216, 0.784)
Cl (0.216, 0.784, 0.784)
Br (0.500, 0.500, 0.500)
Cl (0.216, 0.784, 0.216)
Cl (0.784, 0.784, 0.216)
Cl (0.784, 0.216, 0.216)
Cs (0.250, 0.250, 0.250)
Cl (0.784, 0.216, 0.784)
S (0.000, 0.000, 0.000)
Cs (0.750, 0.750, 0.750)

Properties
The crystal system is cubic. For the total energy, the calculation gives -27.0 eV per cell. As for the energy of formation from the pure elements: -1.203 eV per atom.

=====

# 8
VASP calculation (GGA-PBE) on crystalline CsW3Br3Cl4 at its relaxed geometry.

Unit cell a=10.332 b=10.332 c=15.920 alpha=90.00 beta=90.00 gamma=120.00
Element x y z (fractional)
Cl (0.333, 0.667, 0.554)
Cl (0.345, 0.953, 0.813)
Cl (0.939, 0.623, 0.181)
W (0.341, 0.818, 0.680)
Cs (0.000, 0.000, 0.016)
Cl (0.608, 0.655, 0.813)
Cl (0.061, 0.684, 0.681)
Cs (0.333, 0.667, 0.242)
Br (0.697, 0.024, 0.903)
Cl (0.623, 0.939, 0.681)
W (0.811, 0.484, 0.315)
W (0.516, 0.327, 0.315)
W (0.523, 0.182, 0.180)
Br (0.639, 0.679, 0.091)
Cl (0.655, 0.608, 0.313)
Cl (0.392, 0.047, 0.313)
W (0.659, 0.477, 0.180)
W (0.189, 0.673, 0.815)
Br (0.024, 0.697, 0.403)
W (0.327, 0.516, 0.815)
W (0.673, 0.189, 0.315)
Br (0.976, 0.673, 0.903)
Cl (0.047, 0.392, 0.813)
Cl (0.377, 0.316, 0.181)
W (0.484, 0.811, 0.815)
Br (0.673, 0.976, 0.403)
Cl (0.316, 0.377, 0.681)
Cl (0.667, 0.333, 0.440)
Br (0.327, 0.303, 0.903)
Cl (0.684, 0.061, 0.181)
Cl (0.667, 0.333, 0.054)
W (0.182, 0.523, 0.680)
Cs (0.000, 0.000, 0.516)
Br (0.361, 0.040, 0.591)
Cs (0.667, 0.333, 0.742)
Cl (0.333, 0.667, 0.940)
W (0.818, 0.341, 0.180)
Br (0.040, 0.361, 0.091)
Br (0.303, 0.327, 0.403)
Br (0.321, 0.960, 0.091)
Br (0.679, 0.639, 0.591)
Cl (0.953, 0.345, 0.313)
W (0.477, 0.659, 0.680)
Br (0.960, 0.321, 0.591)

Properties
The crystal system is trigonal. For the total energy, the calculation gives -246.5 eV per cell. As for the energy of formation from the pure elements: -1.091 eV per atom.

=====

# 9
VASP calculation (GGA-PBE) on crystalline Na2CuBr2Cl2 at its relaxed geometry.

Unit cell a=5.316 b=5.316 c=5.992 alpha=90.00 beta=90.00 gamma=90.00
Element x y z (fractional)
Cl (0.000, 0.000, 0.500)
Br (0.000, 0.500, 0.000)
Cu (0.500, 0.500, 0.000)
Cl (0.500, 0.500, 0.500)
Na (0.500, 0.000, 0.500)
Na (0.000, 0.500, 0.500)
Br (0.500, 0.000, 0.000)

Properties
The crystal system is tetragonal. For the total energy, the calculation gives -20.5 eV per cell. As for the energy of formation from the pure elements: -1.152 eV per atom.

=====

# 10
VASP calculation (GGA-PBE) on crystalline Rb2CuBr2Cl2 at its relaxed geometry.

Unit cell a=9.054 b=9.054 c=7.316 alpha=90.00 beta=90.00 gamma=132.35
Element x y z (fractional)
Cl (0.719, 0.719, 0.719)
Br (0.345, 0.655, 0.500)
Br (0.845, 0.155, 0.000)
Br (0.155, 0.845, 0.000)
Br (0.655, 0.345, 0.500)
Cl (0.781, 0.781, 0.219)
Rb (0.133, 0.867, 0.500)
Rb (0.633, 0.367, 0.000)
Cl (0.219, 0.219, 0.781)
Rb (0.867, 0.133, 0.500)
Cu (0.500, 0.500, 0.500)
Cl (0.281, 0.281, 0.281)
Rb (0.367, 0.633, 0.000)
Cu (0.000, 0.000, 0.000)

Properties
The crystal system is orthorhombic. For the total energy, the calculation gives -43.6 eV per cell. As for the energy of formation from the pure elements: -1.429 eV per atom.

=====

# 11
VASP calculation (GGA-PBE) on crystalline EuBrCl at its relaxed geometry.

Unit cell a=4.303 b=8.055 c=9.718 alpha=90.00 beta=90.00 gamma=90.00
Element x y z (fractional)
Eu (0.750, 0.306, 0.652)
Cl (0.750, 0.660, 0.554)
Eu (0.750, 0.806, 0.848)
Eu (0.250, 0.194, 0.152)
Br (0.750, 0.494, 0.178)
Br (0.250, 0.006, 0.678)
Br (0.250, 0.506, 0.822)
Br (0.750, 0.994, 0.322)
Cl (0.250, 0.340, 0.446)
Eu (0.250, 0.694, 0.348)
Cl (0.250, 0.840, 0.054)
Cl (0.750, 0.160, 0.946)

Properties
The crystal system is orthorhombic. For the total energy, the calculation gives -81.5 eV per cell. As for the energy of formation from the pure elements: -2.415 eV per atom.

=====

# 12
VASP calculation (GGA-PBE) on crystalline Hg12SbBrCl2O6 at its relaxed geometry.

Unit cell a=14.365 b=14.365 c=9.941 alpha=90.00 beta=90.00 gamma=120.00
Element x y z (fractional)
O (0.795, 0.385, 0.879)
Hg (0.509, 0.801, 0.608)
O (0.276, 0.742, 0.201)
Hg (0.906, 0.815, 0.925)
Hg (0.747, 0.520, 0.739)
Hg (0.631, 0.787, 0.292)
Hg (0.513, 0.542, 0.388)
Hg (0.458, 0.848, 0.066)
O (0.258, 0.534, 0.201)
Hg (0.199, 0.708, 0.608)
O (0.712, 0.251, 0.131)
Hg (0.185, 0.091, 0.925)
Sb (0.667, 0.333, 0.005)
Hg (0.909, 0.094, 0.925)
O (0.077, 0.946, 0.787)
Cl (0.910, 0.672, 0.330)
Hg (0.029, 0.487, 0.388)
O (0.615, 0.410, 0.879)
O (0.129, 0.085, 0.536)
Hg (0.531, 0.161, 0.274)
Cl (0.009, 0.469, 0.672)
Hg (0.498, 0.462, 0.940)
O (0.915, 0.043, 0.536)
Hg (0.876, 0.696, 0.600)
Hg (0.630, 0.469, 0.274)
O (0.403, 0.604, 0.449)
Hg (0.213, 0.844, 0.292)
O (0.201, 0.597, 0.449)
O (0.957, 0.871, 0.536)
Cl (0.531, 0.540, 0.672)
Hg (0.152, 0.610, 0.066)
Hg (0.538, 0.036, 0.940)
Hg (0.839, 0.370, 0.274)
Hg (0.777, 0.144, 0.056)
Cl (0.460, 0.991, 0.672)
Hg (0.304, 0.180, 0.600)
O (0.396, 0.799, 0.449)
Br (0.333, 0.667, 0.823)
Hg (0.820, 0.124, 0.600)
Hg (0.773, 0.253, 0.739)
Hg (0.390, 0.542, 0.066)
Hg (0.964, 0.502, 0.940)
Br (0.000, 0.000, 0.172)
Hg (0.137, 0.968, 0.385)
O (0.054, 0.131, 0.787)
Hg (0.458, 0.971, 0.388)
Hg (0.856, 0.633, 0.056)
Hg (0.706, 0.865, 0.698)
O (0.749, 0.462, 0.131)
O (0.466, 0.724, 0.201)
Br (0.667, 0.333, 0.491)
Hg (0.292, 0.491, 0.608)
Hg (0.480, 0.227, 0.739)
Hg (0.367, 0.223, 0.056)
Hg (0.135, 0.841, 0.698)
O (0.590, 0.205, 0.879)
O (0.538, 0.288, 0.131)
Sb (0.333, 0.667, 0.326)
Cl (0.761, 0.090, 0.330)
Cl (0.328, 0.239, 0.330)
Hg (0.831, 0.863, 0.385)
O (0.869, 0.923, 0.787)
Hg (0.032, 0.169, 0.385)
Sb (0.000, 0.000, 0.660)
Hg (0.159, 0.294, 0.698)
Hg (0.156, 0.369, 0.292)

Properties
The crystal system is trigonal. For the total energy, the calculation gives -157.2 eV per cell. As for the energy of formation from the pure elements: -0.623 eV per atom.